# BaBi2Mo4O16 PBE+U optimized geometry
# Calculated total energy   -6.81 eV/atom
# Spin magnetization   0.00 μB per formula unit
# E_form   -2.10 eV/atom
data_BaBi2Mo4O16
_chemical_formula_sum 'Ba2 Bi4 Mo8 O32'
_cell_length_a 7.063
_cell_length_b 7.063
_cell_length_c 19.699
_cell_angle_alpha 89.46
_cell_angle_beta 89.46
_cell_angle_gamma 135.06
_symmetry_space_group_name_H-M 'P 1'
_symmetry_Int_Tables_number 1
_symmetry_space_group_name_Hall 'P 1'
loop_
_atom_site_label
_atom_site_fract_x
_atom_site_fract_y
_atom_site_fract_z
O1 0.617 0.914 0.138
Bi1 0.147 0.848 0.962
O2 0.278 0.248 0.464
O3 0.520 0.174 0.049
O4 0.978 0.261 0.678
O5 0.722 0.752 0.536
O6 0.516 0.902 0.287
Bi2 0.848 0.147 0.462
O7 0.480 0.826 0.951
O8 0.083 0.591 0.070
O9 0.086 0.383 0.362
O10 0.261 0.978 0.178
O11 0.917 0.409 0.930
O12 0.591 0.083 0.570
O13 0.826 0.480 0.451
Mo1 0.265 0.744 0.152
O14 0.409 0.917 0.430
O15 0.465 0.300 0.330
Bi3 0.152 0.853 0.538
O16 0.212 0.296 0.107
O17 0.296 0.212 0.607
Ba1 0.970 0.030 0.250
Mo2 0.256 0.735 0.348
Mo3 0.460 0.577 0.908
O18 0.022 0.739 0.322
Bi4 0.853 0.152 0.038
Mo4 0.577 0.460 0.408
O19 0.700 0.535 0.170
O20 0.174 0.520 0.549
O21 0.914 0.617 0.638
O22 0.535 0.700 0.670
Ba2 0.030 0.970 0.750
O23 0.788 0.704 0.893
Mo5 0.735 0.256 0.848
O24 0.902 0.516 0.787
O25 0.484 0.098 0.713
O26 0.300 0.465 0.830
O27 0.383 0.086 0.862
O28 0.739 0.022 0.822
Mo6 0.540 0.423 0.092
O29 0.704 0.788 0.393
Mo7 0.744 0.265 0.652
O30 0.098 0.484 0.213
Mo8 0.423 0.540 0.592
O31 0.248 0.278 0.964
O32 0.752 0.722 0.036